VASP calculation (PBE with a Hubbard U) on a geometry-optimized CrBiO4 structure.

Computed properties:
Size of the total moment ... 0.000 μB/cell
Energy relative to the elements ... -1731.2 meV/atom
Calculated total energy ... -155.9 eV per cell
Energy with MP2020 corrections ... -0.2678 hartree per atom
SG ... No. 14

abc: 7.0139 7.3023 8.3618
angles: 90.00 126.32 90.00
Last column: nearest neighbours and their distance in Å.
Element x y z (fractional)
Cr: 0.1945 0.1639 0.2979  4 O 1.68-1.79
Cr: 0.1945 0.3361 0.7979  4 O 1.68-1.79
Cr: 0.8055 0.6639 0.2021  4 O 1.68-1.79
Cr: 0.8055 0.8361 0.7021  4 O 1.68-1.79
Bi: 0.2622 0.6517 0.2032  6 O 2.25-2.51
Bi: 0.2622 0.8483 0.7032  6 O 2.25-2.51
Bi: 0.7378 0.1517 0.2968  6 O 2.25-2.51
Bi: 0.7378 0.3483 0.7968  6 O 2.25-2.51
O: 0.1099 0.7124 0.3877  1 Cr 1.78
O: 0.1099 0.7876 0.8877  1 Cr 1.78
O: 0.1292 0.1048 0.4685  1 Cr 1.79
O: 0.1292 0.3952 0.9685  1 Cr 1.79
O: 0.3063 0.5149 0.7510  1 Cr 1.68
O: 0.3063 0.9851 0.2510  1 Cr 1.68
O: 0.3633 0.1474 0.8833  1 Cr 1.68
O: 0.3633 0.3526 0.3833  1 Cr 1.68
O: 0.6367 0.6474 0.6167  1 Cr 1.68
O: 0.6367 0.8526 0.1167  1 Cr 1.68
O: 0.6937 0.0149 0.7490  1 Cr 1.68
O: 0.6937 0.4851 0.2490  1 Cr 1.68
O: 0.8708 0.6048 0.0315  1 Cr 1.79
O: 0.8708 0.8952 0.5315  1 Cr 1.79
O: 0.8901 0.2124 0.1123  1 Cr 1.78
O: 0.8901 0.2876 0.6123  1 Cr 1.78